P | First-principles (GGA-PBE) data for a geometry-optimized SbTe structure, as listed in the Materials Project.

Structure (POSCAR):
```
SbTe
1.0
3.827 0.000 0.000
0.000 3.827 0.000
0.000 0.000 3.827
Sb Te
1 1
direct
0.000 0.000 0.000 Sb
0.500 0.500 0.500 Te
```

SG = Pm-3m (221)

Q | First-principles (GGA-PBE) data for a geometry-optimized SbTe structure, as listed in the Materials Project.

Structure (POSCAR):
```
SbTe
1.0
4.380 -2.060 0.000
4.380 2.060 0.000
3.411 0.000 3.433
Sb Te
1 1
direct
0.500 0.500 0.500 Sb
0.000 0.000 0.000 Te
```

SG = R-3m (166)

The winner here is Q, beating the second structure by 15.8 kJ/mol of atoms.

P | First-principles (GGA-PBE) data for a geometry-optimized Y3Sb structure, as listed in the Materials Project.

Structure (POSCAR):
```
Y3Sb
1.0
-1.687 11.372 4.817
-11.499 -3.219 3.574
2.244 -1.972 5.442
Y Sb
24 8
direct
0.416 0.891 0.034 Y
0.584 0.109 0.034 Y
0.609 0.916 0.534 Y
0.391 0.084 0.534 Y
0.084 0.609 0.466 Y
0.916 0.391 0.466 Y
0.891 0.584 0.966 Y
0.109 0.416 0.966 Y
0.175 0.715 0.985 Y
0.825 0.285 0.985 Y
0.785 0.675 0.485 Y
0.215 0.325 0.485 Y
0.325 0.785 0.515 Y
0.675 0.215 0.515 Y
0.715 0.825 0.015 Y
0.285 0.175 0.015 Y
0.143 0.969 0.284 Y
0.857 0.031 0.284 Y
0.531 0.643 0.784 Y
0.469 0.357 0.784 Y
0.357 0.531 0.216 Y
0.643 0.469 0.216 Y
0.969 0.857 0.716 Y
0.031 0.143 0.716 Y
0.542 0.701 0.290 Sb
0.458 0.299 0.290 Sb
0.799 0.042 0.790 Sb
0.201 0.958 0.790 Sb
0.958 0.799 0.210 Sb
0.042 0.201 0.210 Sb
0.701 0.458 0.710 Sb
0.299 0.542 0.710 Sb
```

SG = P4_2/n (86)

Q | First-principles (GGA-PBE) data for a geometry-optimized Y3Sb structure, as listed in the Materials Project.

Structure (POSCAR):
```
Y3Sb
1.0
1.506 5.712 3.505
-4.646 -4.418 2.466
4.000 -2.705 2.690
Y Sb
6 2
direct
0.340 0.170 0.750 Y
0.830 0.170 0.750 Y
0.830 0.660 0.750 Y
0.170 0.830 0.250 Y
0.660 0.830 0.250 Y
0.170 0.340 0.250 Y
0.667 0.333 0.250 Sb
0.333 0.667 0.750 Sb
```

SG = P6_3/mmc (194)

The winner here is P, beating the second structure by 15.9 kJ/mol of atoms.

P | First-principles (GGA-PBE) data for a geometry-optimized Zn6Sb5 structure, as listed in the Materials Project.

Structure (POSCAR):
```
Zn6Sb5
1.0
5.458 -6.143 0.000
5.458 6.143 0.000
-1.455 0.000 8.088
Zn Sb
12 10
direct
0.018 0.933 0.341 Zn
0.341 0.018 0.933 Zn
0.933 0.341 0.018 Zn
0.841 0.433 0.518 Zn
0.518 0.841 0.433 Zn
0.433 0.518 0.841 Zn
0.982 0.067 0.659 Zn
0.659 0.982 0.067 Zn
0.067 0.659 0.982 Zn
0.159 0.567 0.482 Zn
0.482 0.159 0.567 Zn
0.567 0.482 0.159 Zn
0.894 0.606 0.250 Sb
0.250 0.894 0.606 Sb
0.606 0.250 0.894 Sb
0.750 0.106 0.394 Sb
0.394 0.750 0.106 Sb
0.106 0.394 0.750 Sb
0.364 0.364 0.364 Sb
0.864 0.864 0.864 Sb
0.636 0.636 0.636 Sb
0.136 0.136 0.136 Sb
```

SG = R-3c (167)

Q | First-principles (GGA-PBE) data for a geometry-optimized Zn6Sb5 structure, as listed in the Materials Project.

Structure (POSCAR):
```
Zn6Sb5
1.0
5.551 -6.130 0.000
5.551 6.130 0.000
-1.218 0.000 8.180
Zn Sb
12 10
direct
0.123 0.132 0.500 Zn
0.632 0.623 0.000 Zn
0.368 0.377 0.000 Zn
0.000 0.368 0.377 Zn
0.868 0.500 0.877 Zn
0.623 0.000 0.632 Zn
0.500 0.123 0.132 Zn
0.132 0.500 0.123 Zn
0.377 0.000 0.368 Zn
0.500 0.877 0.868 Zn
0.877 0.868 0.500 Zn
0.000 0.632 0.623 Zn
0.750 0.121 0.379 Sb
0.121 0.379 0.750 Sb
0.875 0.875 0.875 Sb
0.625 0.625 0.625 Sb
0.250 0.879 0.621 Sb
0.375 0.375 0.375 Sb
0.621 0.250 0.879 Sb
0.125 0.125 0.125 Sb
0.379 0.750 0.121 Sb
0.879 0.621 0.250 Sb
```

SG = R-3c (167)

The winner here is P, beating the second structure by 18.2 kJ/mol of atoms.

P | First-principles (GGA-PBE) data for a geometry-optimized Sc5Si3 structure, as listed in the Materials Project.

Structure (POSCAR):
```
Sc5Si3
1.0
4.189 -7.256 0.000
4.189 7.256 0.000
0.000 0.000 5.557
Sc Si
10 6
direct
0.667 0.333 0.250 Sc
0.333 0.667 0.250 Sc
0.333 0.667 0.750 Sc
0.667 0.333 0.750 Sc
0.748 0.748 0.250 Sc
0.252 0.000 0.250 Sc
0.000 0.252 0.250 Sc
0.252 0.252 0.750 Sc
0.748 0.000 0.750 Sc
0.000 0.748 0.750 Sc
0.374 0.374 0.250 Si
0.626 0.000 0.250 Si
0.000 0.626 0.250 Si
0.626 0.626 0.750 Si
0.374 0.000 0.750 Si
0.000 0.374 0.750 Si
```

SG = P6_3/mcm (193)

Q | First-principles (GGA-PBE) data for a geometry-optimized Sc5Si3 structure, as listed in the Materials Project.

Structure (POSCAR):
```
Sc5Si3
1.0
0.364 6.198 4.889
-3.329 0.778 -7.125
-5.175 -1.476 2.256
Sc Si
10 6
direct
0.000 0.759 0.750 Sc
0.000 0.241 0.250 Sc
0.759 0.759 0.250 Sc
0.759 0.000 0.750 Sc
0.241 0.241 0.750 Sc
0.241 0.000 0.250 Sc
0.333 0.667 0.500 Sc
0.667 0.333 0.000 Sc
0.667 0.333 0.500 Sc
0.333 0.667 0.000 Sc
0.395 0.000 0.750 Si
0.395 0.395 0.250 Si
0.000 0.605 0.250 Si
0.000 0.395 0.750 Si
0.605 0.605 0.750 Si
0.605 0.000 0.250 Si
```

SG = P6_3/mcm (193)

The winner here is Q, beating the second structure by 46.1 kJ/mol of atoms.